Rb2CdI2Br2 | PBE | optimized geometry

Structure (extended XYZ):
```
14
Lattice="-4.566 -1.362 -5.745 -0.771 -5.362 5.134 -8.649 6.378 5.363" Properties=species:S:1:pos:R:3 pbc="T T T"
Rb -7.594 -0.929 2.307
Rb -3.269 -4.119 -0.374
Rb -3.994 -3.540 4.493
Rb -10.762 2.225 0.170
Cd -6.262 -1.162 -1.993
Cd -8.505 -0.167 6.655
I -4.413 0.209 4.508
I -7.031 2.648 0.534
I -1.101 -2.233 2.455
I -10.343 5.091 2.588
Br -4.802 -1.051 0.229
Br -8.538 1.519 4.596
Br -6.396 -4.415 1.660
Br -11.305 -0.610 2.666
```

Summary:
The piezoelectric modulus e_max comes out at 0.21 C/m². The space-group type is Ama2, No. 40. For the total energy, the calculation gives -2.597 eV per atom.

---

CdInBr3 | PBE | optimized geometry

Structure (extended XYZ):
```
20
Lattice="-1.278 -3.946 0.652 7.331 -3.248 -5.281 8.930 -0.765 12.867" Properties=species:S:1:pos:R:3 pbc="T T T"
Cd 1.985 -4.084 -0.544
Cd 12.997 -3.875 8.783
Cd 9.109 -6.004 1.800
Cd 5.873 -1.955 6.440
In 6.813 -3.779 10.761
In 8.170 -4.180 -2.522
In 9.187 -5.292 6.261
In 5.795 -2.667 1.979
Br 5.207 -5.673 -3.841
Br 9.775 -2.286 12.081
Br 5.904 -4.423 5.085
Br 9.078 -3.536 3.154
Br 2.501 -3.812 2.114
Br 12.482 -4.147 6.125
Br 6.822 -5.492 0.419
Br 8.161 -2.467 7.821
Br 10.547 -5.196 9.502
Br 4.436 -2.763 -1.262
Br 11.598 -6.596 3.094
Br 3.385 -1.363 5.145
```

Summary:
The space-group type is Pnma, No. 62. For the total energy, the calculation gives -2.507 eV per atom.

---

CdBr6N4 | PBE | optimized geometry

Structure (extended XYZ):
```
22
Lattice="-1.778 10.542 3.359 -9.027 -6.623 0.464 9.392 -4.638 3.981" Properties=species:S:1:pos:R:3 pbc="T T T"
Cd -0.706 -0.360 3.902
Cd 0.000 0.000 0.000
Br 3.413 -1.103 4.784
Br -2.258 3.616 4.193
Br -3.381 -3.647 3.320
Br 0.851 -7.066 5.125
Br 3.705 4.295 6.689
Br -7.487 1.277 4.385
Br -4.825 0.383 3.020
Br 0.845 -4.335 3.611
Br 1.968 2.927 4.484
Br -2.263 6.347 2.679
Br -5.117 -5.015 1.115
Br 6.075 -1.997 3.419
N -0.353 -0.180 1.951
N -1.059 -0.540 5.853
N -6.557 -0.118 3.543
N 1.866 -5.591 4.562
N 2.219 4.450 5.552
N -3.278 4.871 3.242
N -3.632 -5.170 2.252
N 5.144 -0.601 4.261
```

Summary:
The space-group type is R-3c, No. 167. For the total energy, the calculation gives -2.942 eV per atom. The excess energy over the best structure of this formula in the dataset is 0.000 eV/atom.

---

CdBr6N4 | PBE | optimized geometry

Structure (extended XYZ):
```
22
Lattice="5.732 -6.765 0.000 5.732 6.765 0.000 -2.253 0.000 8.576" Properties=species:S:1:pos:R:3 pbc="T T T"
Cd 4.606 0.000 4.288
Cd 0.000 0.000 0.000
Br 2.468 -0.151 7.258
Br 6.268 -3.068 3.177
Br 6.090 3.219 3.369
Br 4.963 3.546 7.657
Br 5.141 -3.697 7.465
Br 9.327 0.151 2.970
Br 6.743 0.151 1.318
Br 2.943 3.068 5.399
Br 3.121 -3.219 5.207
Br 4.248 -3.546 0.919
Br 4.070 3.697 1.111
Br -0.116 -0.151 5.606
N 2.303 0.000 2.144
N 6.908 0.000 6.432
N 8.035 1.237 2.144
N 3.313 2.764 7.216
N 4.772 -4.001 5.648
N 5.898 -2.764 1.360
N 4.439 4.001 2.928
N 1.176 -1.237 6.432
```

Summary:
The space-group type is R-3c, No. 167. For the total energy, the calculation gives -2.564 eV per atom. The excess energy over the best structure of this formula in the dataset is 0.378 eV/atom.

---

CdBr2N2 | PBE | optimized geometry

Structure (extended XYZ):
```
5
Lattice="-0.064 3.808 -0.878 -4.279 0.936 4.371 5.059 0.881 3.452" Properties=species:S:1:pos:R:3 pbc="T T T"
Cd 0.000 0.000 0.000
Br 0.566 3.297 5.559
Br 0.150 2.328 1.387
N 2.499 0.896 3.704
N -1.718 0.921 4.119
```

Summary:
The space-group type is Cmmm, No. 65. For the total energy, the calculation gives -2.587 eV per atom.

---

CdBrO | PBE | optimized geometry

Structure (extended XYZ):
```
12
Lattice="-3.349 -0.603 6.697 -4.910 -0.351 -2.487 -1.892 -6.304 -1.514" Properties=species:S:1:pos:R:3 pbc="T T T"
Cd -3.358 -1.876 5.496
Cd -6.662 -2.376 -0.414
Cd -6.793 -5.381 -2.800
Cd -3.490 -4.881 3.111
Br -5.498 -1.778 2.196
Br -2.742 -2.154 -0.673
Br -4.653 -5.479 0.500
Br -7.410 -5.104 3.369
O -3.468 -2.604 3.411
O -4.991 -1.367 -1.452
O -6.684 -4.654 -0.715
O -5.161 -5.890 4.149
```

Summary:
The space-group type is P2_1/c, No. 14. For the total energy, the calculation gives -2.979 eV per atom.

---

CdBr2O4 | PBE | optimized geometry

Structure (extended XYZ):
```
14
Lattice="-0.022 8.193 4.845 -3.693 0.133 -0.242 -3.877 -3.332 5.617" Properties=species:S:1:pos:R:3 pbc="T T T"
Cd -0.011 4.096 2.422
Cd -1.939 -1.666 2.808
Br -2.114 1.539 0.742
Br -5.478 3.455 9.478
Br -4.056 1.031 4.235
Br -3.537 3.963 5.985
O -3.268 2.486 3.676
O -4.325 2.508 6.544
O -5.199 -2.001 4.816
O -2.393 6.995 5.404
O -3.761 -0.140 2.909
O -3.832 5.134 7.311
O -5.704 -0.067 6.746
O -1.888 5.061 3.474
```

Summary:
The space-group type is P2_1/c, No. 14. For the total energy, the calculation gives -3.552 eV per atom. The excess energy over the best structure of this formula in the dataset is 0.000 eV/atom.

---

CdBr2O4 | PBE | optimized geometry

Structure (extended XYZ):
```
14
Lattice="3.736 0.000 0.000 0.000 7.555 0.000 0.000 0.000 8.898" Properties=species:S:1:pos:R:3 pbc="T T T"
Cd 1.868 3.777 4.449
Cd 0.000 0.000 0.000
Br 0.000 5.881 3.492
Br 0.000 1.674 5.406
Br 1.868 5.451 7.941
Br 1.868 2.104 0.957
O 1.868 2.095 3.091
O 1.868 5.460 5.807
O 0.000 1.682 7.540
O 0.000 5.872 1.358
O 1.868 5.469 1.013
O 1.868 2.086 7.885
O 0.000 5.863 5.462
O 0.000 1.691 3.436
```

Summary:
The space-group type is Pnnm, No. 58. For the total energy, the calculation gives -3.153 eV per atom. The excess energy over the best structure of this formula in the dataset is 0.399 eV/atom.

---

CdBr2O4 | PBE | optimized geometry

Structure (extended XYZ):
```
14
Lattice="-3.414 -1.894 0.083 3.129 -5.787 0.810 -0.328 -0.543 10.454" Properties=species:S:1:pos:R:3 pbc="T T T"
Cd 0.146 -4.217 5.549
Cd -0.270 -7.558 10.563
Br -1.718 -5.211 2.614
Br -1.831 -4.644 7.883
Br -2.053 -2.223 3.625
Br 1.455 -6.743 7.758
O -0.895 -2.293 5.023
O 0.090 -6.054 6.826
O 1.968 -4.840 1.679
O 0.055 -1.724 0.570
O -1.058 -2.304 0.509
O 1.063 -6.122 9.450
O -1.418 -5.553 4.347
O 0.197 -1.648 8.249
```

Summary:
The space-group type is P1, No. 1. For the total energy, the calculation gives -3.518 eV per atom. The excess energy over the best structure of this formula in the dataset is 0.335 eV/atom.

---

Rb4CdBr6 | PBE | optimized geometry

Structure (extended XYZ):
```
22
Lattice="-5.551 4.362 -6.330 -6.575 -6.767 0.945 -4.216 4.915 6.926" Properties=species:S:1:pos:R:3 pbc="T T T"
Rb -7.139 1.435 -3.483
Rb -7.216 -2.691 2.416
Rb -6.073 4.394 2.993
Rb -9.204 1.075 5.024
Rb -9.126 5.201 -0.875
Rb -10.269 -1.883 -1.452
Rb -12.257 1.883 1.156
Rb -4.086 0.628 0.385
Cd -8.171 1.255 0.770
Cd 0.000 0.000 0.000
Br -6.375 0.741 2.927
Br -6.317 3.122 -0.334
Br -6.964 -0.843 -0.740
Br -8.076 -4.790 -0.463
Br -6.238 2.980 6.371
Br -6.887 5.067 -3.909
Br -9.968 1.770 -1.386
Br -10.026 -0.611 1.875
Br -9.378 3.354 2.281
Br -8.267 7.301 2.004
Br -9.456 -2.557 5.450
Br -10.105 -0.469 -4.830
```

Summary:
The space-group type is R-3c, No. 167. For the total energy, the calculation gives -2.869 eV per atom.

---

RbCdBr3 | PBE | optimized geometry

Structure (extended XYZ):
```
20
Lattice="4.313 0.000 0.000 0.000 9.738 0.000 0.000 0.000 16.074" Properties=species:S:1:pos:R:3 pbc="T T T"
Rb 3.235 0.656 10.835
Rb 1.078 9.082 5.239
Rb 3.235 5.525 13.276
Rb 1.078 4.213 2.798
Cd 3.235 3.271 7.150
Cd 1.078 6.467 8.924
Cd 3.235 8.139 0.887
Cd 1.078 1.598 15.188
Br 1.078 0.240 1.595
Br 3.235 9.497 14.479
Br 1.078 5.109 6.442
Br 3.235 4.629 9.632
Br 1.078 1.667 8.107
Br 3.235 8.071 7.967
Br 1.078 6.536 16.004
Br 3.235 3.202 0.070
Br 3.235 2.140 4.704
Br 1.078 7.598 11.370
Br 3.235 7.009 3.333
Br 1.078 2.729 12.741
```

Summary:
The space-group type is Pnma, No. 62. For the total energy, the calculation gives -2.610 eV per atom.

---

CdSb2Se3Br2 | PBE | optimized geometry

Structure (extended XYZ):
```
16
Lattice="2.047 10.874 0.000 -2.047 10.874 0.000 0.000 6.532 10.977" Properties=species:S:1:pos:R:3 pbc="T T T"
Cd 0.000 17.734 6.005
Cd 0.000 10.547 4.972
Sb 0.000 25.849 8.615
Sb 0.000 2.432 2.361
Sb 0.000 6.961 0.956
Sb 0.000 21.320 10.021
Se 0.000 16.791 8.588
Se 0.000 8.613 10.716
Se 0.000 11.490 2.389
Se 0.000 12.621 9.474
Se 0.000 19.668 0.261
Se 0.000 15.660 1.503
Br 0.000 23.025 5.910
Br 0.000 5.256 5.067
Br 0.000 19.482 3.874
Br 0.000 8.799 7.103
```

Summary:
The space-group type is C2/m, No. 12. For the total energy, the calculation gives -3.357 eV per atom.